Below is crystalline NbFe3 at its relaxed geometry, with properties calculated at the meta-GGA r2SCAN level.

Lattice parameters (Å, degrees): 4.2089 4.2089 4.2089 60.00 60.00 60.00
Sites, in units of the cell vectors:
Nb: 0.0000 0.0000 0.0000
Fe: 0.2500 0.2500 0.2500
Fe: 0.7500 0.7500 0.7500
Fe: 0.5000 0.5000 0.5000

## Properties
**Energy relative to the elements**: 0.051 eV per atom
**Space-group type**: No. 225



Below is crystalline DySi3Ir at its relaxed geometry, with properties calculated at the meta-GGA r2SCAN level.

Lattice parameters (Å, degrees): 5.7087 5.7087 5.7087 137.17 137.17 62.18
Sites, in units of the cell vectors:
Dy: 0.0021 0.0021 0.0000
Si: 0.4187 0.4187 0.0000
Si: 0.2690 0.7690 0.5000
Si: 0.7690 0.2690 0.5000
Ir: 0.6562 0.6562 0.0000

## Properties
**Energy relative to the elements**: -0.833 eV per atom
**Space-group type**: No. 107



Below is crystalline SmGaSi at its relaxed geometry, with properties calculated at the meta-GGA r2SCAN level.

Lattice parameters (Å, degrees): 7.6680 7.6680 7.6680 148.50 148.50 45.15
Sites, in units of the cell vectors:
Sm: 0.6249 0.1249 0.5000
Sm: 0.8749 0.8749 0.0000
Ga: 0.4583 0.4583 0.0000
Ga: 0.2083 0.7083 0.5000
Si: 0.0418 0.5418 0.5000
Si: 0.2918 0.2918 0.0000

## Properties
**Energy relative to the elements**: -0.786 eV per atom
**Space-group type**: No. 109



Below is crystalline Zr5InPb3 at its relaxed geometry, with properties calculated at the meta-GGA r2SCAN level.

Lattice parameters (Å, degrees): 8.8984 8.8984 6.0297 90.00 90.00 120.00
Sites, in units of the cell vectors:
Zr: 0.6667 0.3333 0.0000
Zr: 0.3333 0.6667 0.0000
Zr: 0.3333 0.6667 0.5000
Zr: 0.6667 0.3333 0.5000
Zr: 0.7220 0.7220 0.7500
Zr: 0.2780 0.0000 0.7500
Zr: 0.0000 0.2780 0.7500
Zr: 0.2780 0.2780 0.2500
Zr: 0.7220 0.0000 0.2500
Zr: 0.0000 0.7220 0.2500
In: 0.0000 0.0000 0.0000
In: 0.0000 0.0000 0.5000
Pb: 0.3832 0.3832 0.7500
Pb: 0.6168 0.0000 0.7500
Pb: 0.0000 0.6168 0.7500
Pb: 0.6168 0.6168 0.2500
Pb: 0.3832 0.0000 0.2500
Pb: 0.0000 0.3832 0.2500

## Properties
**Energy relative to the elements**: -0.409 eV per atom
**Space-group type**: No. 193